# TiCu2P

TiCu2P after structural relaxation (PBE-GGA, Materials Project).

Properties
Spin magnetization = 0.00 μB per atom
Calculated formation energy = -13.04 kcal/mol of atoms

Lattice parameters (Å, degrees): 16.930 16.930 16.930 168.08 168.08 16.89
Fractional positions:
Ti: 0.097 0.347 0.750
Ti: 0.347 0.097 0.250
Ti: 0.653 0.903 0.750
Ti: 0.903 0.653 0.250
Cu: 0.028 0.778 0.250
Cu: 0.222 0.972 0.250
Cu: 0.280 0.530 0.750
Cu: 0.470 0.720 0.750
Cu: 0.530 0.280 0.250
Cu: 0.720 0.470 0.250
Cu: 0.778 0.028 0.750
Cu: 0.972 0.222 0.750
P: 0.172 0.422 0.750
P: 0.422 0.172 0.250
P: 0.578 0.828 0.750
P: 0.828 0.578 0.250